The following is a PBE-GGA calculation of TbSnRu2 after structural relaxation, from Materials Project.

Values from the calculation:
ΔH_f (0 K)	-338.4	meV per atom
spin magnetization	0.003	Bohr magnetons per cell
electronic total energy	-7.1366	eV/atom
V	18.24	Å³ per atom

Cell: 6.634 6.634 6.634 Å, 90.00 90.00 90.00°
Space group Fm-3m (No. 225)
Inequivalent atoms, fractional coordinates:
Tb 0.000 0.000 0.000 (multiplicity 4)
Sn 0.000 0.000 0.500 (multiplicity 4)
Ru 0.250 0.250 0.250 (multiplicity 8)